Record 1
ZrGaCu | the Materials Project database | GGA-PBE | relaxed; crystal system = hexagonal
1.0
4.246 0.000 0.000
-2.123 3.677 0.000
0.000 0.000 6.437
Zr Ga Cu
2 2 2
Cartesian
0.000 0.000 0.000
0.000 0.000 3.218
0.000 2.451 1.609
2.123 1.226 4.827
0.000 2.451 4.827
2.123 1.226 1.609

=====

Record 2
GdCu | the Materials Project database | GGA-PBE | relaxed; crystal system = cubic
1.0
3.506 0.000 0.000
0.000 3.506 0.000
0.000 0.000 3.506
Gd Cu
1 1
Cartesian
0.000 0.000 0.000
1.753 1.753 1.753

=====

Record 3
GdCu6 | the Materials Project database | GGA-PBE | relaxed; crystal system = orthorhombic
1.0
8.027 0.000 0.000
0.000 5.058 0.000
0.000 0.000 9.983
Gd Cu
4 24
Cartesian
1.934 1.264 0.647
2.079 3.793 5.638
5.947 1.264 4.345
6.093 3.793 9.336
0.496 0.036 3.085
0.496 2.493 3.085
0.496 3.793 0.940
0.836 1.264 5.176
1.190 3.793 8.532
1.491 1.264 7.575
2.522 3.793 2.584
2.823 1.264 3.540
3.177 3.793 0.185
3.517 1.264 5.931
3.517 2.565 8.076
3.517 5.022 8.076
4.509 0.036 1.907
4.509 2.493 1.907
4.509 3.793 4.052
4.849 1.264 9.798
5.204 3.793 6.443
5.505 1.264 7.399
6.535 3.793 2.407
6.836 1.264 1.451
7.190 3.793 4.807
7.531 1.264 9.043
7.531 2.565 6.898
7.531 5.022 6.898

=====

Record 4
GdCu5 | the Materials Project database | GGA-PBE | relaxed; crystal system = hexagonal
1.0
5.009 0.000 0.000
-2.505 4.338 0.000
0.000 0.000 4.067
Gd Cu
1 5
Cartesian
0.000 0.000 0.000
-1.252 2.169 2.033
0.000 2.892 0.000
2.505 0.000 2.033
1.252 2.169 2.033
2.505 1.446 0.000

=====

Record 5
GdCu2Ge2 | the Materials Project database | GGA-PBE | relaxed; crystal system = monoclinic
1.0
11.066 0.000 0.000
0.000 4.103 0.000
-1.492 0.000 3.829
Gd Cu Ge
2 4 4
Cartesian
0.000 0.000 0.000
5.533 2.052 0.000
1.615 0.000 2.950
2.426 2.052 0.879
7.959 0.000 0.879
7.148 2.052 2.950
0.433 2.052 2.312
3.608 0.000 1.516
5.966 0.000 2.312
9.142 2.052 1.516

=====

Record 6
Gd3Cu4Ge4 | the Materials Project database | GGA-PBE | relaxed; crystal system = orthorhombic
1.0
-2.132 3.347 7.055
2.132 -3.347 7.055
2.132 3.347 -7.055
Gd Cu Ge
3 4 4
Cartesian
0.000 0.000 0.000
2.132 0.000 5.208
0.000 3.347 1.847
2.132 1.264 -2.382
2.132 1.264 2.382
0.000 2.084 4.673
0.000 2.084 9.437
0.000 0.000 3.053
2.132 2.072 0.000
0.000 1.276 7.055
0.000 0.000 11.057

=====

Record 7
GdCuGe | the Materials Project database | GGA-PBE | relaxed; crystal system = hexagonal
1.0
4.267 0.000 0.000
-2.134 3.696 0.000
0.000 0.000 7.496
Gd Cu Ge
2 2 2
Cartesian
0.000 0.000 0.000
0.000 0.000 3.748
0.000 2.464 1.741
2.134 1.232 5.489
0.000 2.464 5.753
2.134 1.232 2.005

=====

Record 8
Gd3CuGeS7 | the Materials Project database | GGA-PBE | relaxed; crystal system = hexagonal
1.0
9.996 0.000 0.000
-4.998 8.657 0.000
0.000 0.000 5.836
Gd Cu Ge S
6 2 2 14
Cartesian
-2.565 6.693 0.000
0.485 3.089 0.000
2.917 1.125 2.918
2.081 7.532 0.000
4.514 5.568 2.918
7.564 1.964 2.918
0.000 0.000 2.665
0.000 0.000 5.583
0.000 5.771 3.404
4.998 2.886 0.486
-3.243 7.263 2.743
-1.593 4.495 4.332
0.330 2.217 2.743
2.085 0.823 5.661
0.000 5.771 1.199
-0.309 7.789 4.332
1.902 5.030 4.332
3.096 3.627 1.414
5.307 0.868 1.414
4.998 2.886 4.117
2.913 7.834 2.743
4.668 6.440 5.661
6.591 4.163 1.414
8.241 1.394 5.661

=====

Record 9
Gd3CuGeSe7 | the Materials Project database | GGA-PBE | relaxed; crystal system = hexagonal
1.0
10.454 0.000 0.000
-5.227 9.053 0.000
0.000 0.000 6.102
Gd Cu Ge Se
6 2 2 14
Cartesian
-0.468 3.218 0.000
-2.206 7.849 0.000
2.553 2.014 3.051
2.674 7.039 0.000
7.433 1.204 3.051
5.695 5.835 3.051
0.000 0.000 2.826
0.000 0.000 5.877
0.000 6.035 3.553
5.227 3.018 0.502
-2.025 5.218 4.555
-0.327 2.351 2.906
-3.027 8.160 2.906
1.873 1.458 5.957
0.000 6.035 1.194
1.720 4.690 4.555
0.305 8.198 4.555
4.922 0.855 1.504
3.506 4.363 1.504
5.227 3.018 4.244
3.354 7.595 2.906
8.254 0.893 5.957
5.553 6.702 5.957
7.252 3.835 1.504

=====

Record 10
Sr2GdCu2HgO7 | the Materials Project database | GGA-PBE | relaxed; crystal system = tetragonal
1.0
3.838 0.000 0.000
0.000 3.838 0.000
0.000 0.000 12.201
Sr Gd Cu Hg O
2 1 2 1 7
Cartesian
0.000 0.000 2.427
0.000 0.000 9.774
0.000 0.000 6.101
1.919 1.919 4.340
1.919 1.919 7.861
1.919 1.919 0.000
0.000 0.000 0.000
0.000 1.919 4.628
0.000 1.919 7.573
1.919 0.000 4.628
1.919 0.000 7.573
1.919 1.919 2.135
1.919 1.919 10.066

=====

Record 11
GdInCu2 | the Materials Project database | GGA-PBE | relaxed; crystal system = cubic
1.0
6.676 0.000 0.000
0.000 6.676 0.000
0.000 0.000 6.676
Gd In Cu
4 4 8
Cartesian
0.000 0.000 0.000
0.000 3.338 3.338
3.338 0.000 3.338
3.338 3.338 0.000
0.000 0.000 3.338
0.000 3.338 0.000
3.338 0.000 0.000
3.338 3.338 3.338
1.669 1.669 1.669
1.669 1.669 5.007
1.669 5.007 1.669
1.669 5.007 5.007
5.007 1.669 1.669
5.007 1.669 5.007
5.007 5.007 1.669
5.007 5.007 5.007

=====

Record 12
LaGdCu4Sn4 | the Materials Project database | GGA-PBE | relaxed; crystal system = tetragonal
1.0
4.490 0.000 0.000
0.000 4.490 0.000
0.000 0.000 10.638
La Gd Cu Sn
1 1 4 4
Cartesian
0.000 0.000 0.000
2.245 2.245 5.057
0.000 0.000 6.425
0.000 2.245 2.555
2.245 0.000 2.555
2.245 2.245 9.293
0.000 0.000 3.901
0.000 2.245 7.838
2.245 0.000 7.838
2.245 2.245 1.203

=====

| no. | electronic total energy (eV per cell) |
| --- | --- |
| 1 | -33.97 |
| 2 | -18.60 |
| 3 | -158.72 |
| 4 | -35.60 |
| 5 | -58.14 |
| 6 | -83.94 |
| 7 | -49.67 |
| 8 | -194.63 |
| 9 | -181.85 |
| 10 | -83.54 |
| 11 | -104.91 |
| 12 | -55.61 |